# FeB

A geometry-optimized FeB structure (PBE-GGA, the Materials Project).

- final energy (eV/cell) = -31.79
- ΔH_f (0 K) (eV per atom) = -0.374

Structure (extended XYZ):
```
4
Lattice="-2.892 0.000 0.000 0.000 0.000 -2.958 1.446 -3.754 0.000" Properties=species:S:1:pos:R:3 pbc="T T T"
Fe -1.446 -2.691 -0.740
Fe 0.000 -1.062 -2.219
B -1.446 -0.524 -0.740
B 0.000 -3.230 -2.219
```

---

# FeB

A geometry-optimized FeB structure (PBE-GGA, the Materials Project).

- final energy (eV/cell) = -121.69
- total moment (μB per atom) = 0.518
- ΔH_f (0 K) (eV per atom) = -0.031

Structure (extended XYZ):
```
16
Lattice="0.000 0.000 3.900 6.693 0.000 0.000 0.000 6.693 0.000" Properties=species:S:1:pos:R:3 pbc="T T T"
Fe 4.155 4.155 3.390
Fe 4.155 5.884 1.440
Fe 5.884 4.155 1.440
Fe 5.884 5.884 3.390
Fe 2.538 2.538 0.510
Fe 2.538 0.809 2.460
Fe 0.809 2.538 2.460
Fe 0.809 0.809 0.510
B 3.826 3.826 1.426
B 3.826 6.213 3.376
B 6.213 3.826 3.376
B 6.213 6.213 1.426
B 2.867 2.867 2.474
B 2.867 0.480 0.524
B 0.480 2.867 0.524
B 0.480 0.480 2.474
```